1.
The following is a GGA+U calculation of an optimized crystal structure of Sm2MgMo2I8O30, from Materials Project.

Summary:
- relative energy among the computed polymorphs (meV/atom) = 29

abc: 7.2421 7.2101 14.2909
angles: 91.96 88.62 114.86
Closest atoms and distances in Å follow each position.
Fractional coordinates of all 43 atoms:
Sm (0.0862, 0.4221, 0.4404)  8 O 2.40-2.57
Sm (0.8855, 0.5629, 0.9531)  5 O 2.30-2.52
Mg (0.2172, 0.4323, 0.8552)  5 O 2.00-2.15
Mo (0.5851, 0.7731, 0.2788)  3 O 1.77-1.81
Mo (0.4553, 0.2466, 0.7650)  3 O 1.76-1.84
I (0.4958, 0.7481, 0.0376)  3 O 1.82-1.86
I (0.4895, 0.2444, 0.5192)  3 O 1.81-1.88
I (0.7468, 0.2856, 0.1981)  3 O 1.81-1.89
I (0.2679, 0.7284, 0.6814)  3 O 1.81-1.88
I (0.1546, 0.9272, 0.3169)  3 O 1.82-1.87
I (0.8343, 0.0334, 0.7975)  3 O 1.81-1.92
I (0.7623, 0.8668, 0.5412)  3 O 1.83-1.87
I (0.2261, 0.1235, 0.0535)  3 O 1.81-1.84
O (0.3757, 0.6805, 0.1524)  1 I 1.82
O (0.6078, 0.2920, 0.6387)  1 I 1.88, 1 Mo 2.05
O (0.2594, 0.6159, 0.9682)  1 I 1.86, 1 Mg 2.00
O (0.7257, 0.3634, 0.4537)  1 I 1.81
O (0.5720, 0.5328, 0.0182)  1 I 1.86
O (0.4095, 0.4551, 0.5232)  1 I 1.84
O (0.7407, 0.0228, 0.1804)  1 I 1.89
O (0.2430, 0.9772, 0.6861)  1 I 1.88
O (0.8868, 0.3891, 0.0899)  1 I 1.83
O (0.0788, 0.5920, 0.5937)  1 I 1.81
O (0.9518, 0.3850, 0.2820)  1 I 1.81
O (0.1225, 0.6296, 0.7919)  1 I 1.86, 1 Mg 2.06
O (0.4277, 0.9790, 0.2986)  1 I 1.87
O (0.5703, 0.0127, 0.7902)  1 I 1.86
O (0.2130, 0.1672, 0.3815)  1 I 1.82
O (0.7719, 0.8218, 0.8749)  1 I 1.81
O (0.1002, 0.7593, 0.4171)  1 I 1.83
O (0.9261, 0.2520, 0.8898)  1 I 1.92, 1 Mg 2.02
O (0.5259, 0.9028, 0.5375)  1 I 1.84
O (0.4500, 0.0665, 0.0378)  1 I 1.84
O (0.7506, 0.8151, 0.6689)  1 I 1.87
O (0.2298, 0.1594, 0.1795)  1 I 1.81
O (0.9515, 0.1324, 0.5446)  1 I 1.83
O (0.0220, 0.8656, 0.0380)  1 I 1.84
O (0.7680, 0.9124, 0.3683)  1 Mo 1.81
O (0.2757, 0.1654, 0.8643)  1 Mo 1.84
O (0.3802, 0.5917, 0.3423)  1 Mo 1.77
O (0.6736, 0.4185, 0.8246)  1 Mo 1.76
O (0.7119, 0.6338, 0.2246)  1 Mo 1.77
O (0.3398, 0.4130, 0.7290)  1 Mo 1.82, 1 Mg 2.02

=====

2.
The following is a GGA+U calculation of an optimized crystal structure of V3ZnFe2O11, from Materials Project.

abc: 6.5164 6.9258 10.3536
angles: 96.92 103.37 101.26
Closest atoms and distances in Å follow each position.
Fractional coordinates of all 34 atoms:
V (0.1749, 0.4897, 0.3010)  4 O 1.71-1.80
V (0.8251, 0.5103, 0.6990)  4 O 1.71-1.80
V (0.1887, 0.0734, 0.6251)  2 O 1.69-1.77
V (0.8113, 0.9266, 0.3749)  2 O 1.69-1.77
V (0.2392, 0.1734, 0.9706)  4 O 1.68-1.79
V (0.7608, 0.8266, 0.0294)  4 O 1.68-1.79
Zn (0.1986, 0.6725, 0.0094)  4 O 1.92-2.12
Zn (0.8014, 0.3275, 0.9906)  4 O 1.92-2.12
Fe (0.6744, 0.3803, 0.3397)  5 O 1.90-2.08
Fe (0.3256, 0.6197, 0.6603)  5 O 1.90-2.08
Fe (0.2607, 0.0061, 0.2726)  5 O 2.06-2.21
Fe (0.7393, 0.9939, 0.7274)  5 O 2.06-2.21
O (0.1248, 0.0137, 0.4340)  2 V 1.90-1.94, 1 Fe 2.06
O (0.8752, 0.9863, 0.5660)  2 V 1.90-1.94, 1 Fe 2.06
O (0.2389, 0.6983, 0.2323)  1 V 1.71
O (0.7611, 0.3017, 0.7677)  1 V 1.71
O (0.2206, 0.9821, 0.0668)  1 V 1.75
O (0.7794, 0.0179, 0.9332)  1 V 1.75
O (0.6185, 0.0739, 0.3393)  1 V 1.77
O (0.3815, 0.9261, 0.6607)  1 V 1.77
O (0.4965, 0.7188, 0.0039)  1 V 1.68
O (0.5035, 0.2812, 0.9961)  1 V 1.68
O (0.3065, 0.3195, 0.6519)  1 V 1.69
O (0.6935, 0.6805, 0.3481)  1 V 1.69
O (0.1158, 0.0720, 0.7962)  2 V 1.79-1.94
O (0.8842, 0.9280, 0.2038)  2 V 1.79-1.94
O (0.1234, 0.3685, 0.0238)  1 V 1.76
O (0.8766, 0.6315, 0.9762)  1 V 1.76
O (0.8912, 0.3790, 0.2380)  1 V 1.79, 1 Fe 1.95
O (0.1088, 0.6210, 0.7620)  1 V 1.79, 1 Fe 1.95
O (0.2109, 0.5709, 0.4699)  1 V 1.72, 1 Fe 1.90
O (0.7891, 0.4291, 0.5301)  1 V 1.72, 1 Fe 1.90
O (0.3577, 0.3273, 0.2903)  1 V 1.80, 1 Fe 1.96
O (0.6423, 0.6727, 0.7097)  1 V 1.80, 1 Fe 1.96

=====

3.
The following is a GGA+U calculation of an optimized crystal structure of LiV6O7F5, from Materials Project.

Summary:
- relative energy among the computed polymorphs (meV/atom) = 32

abc: 6.5972 7.0110 9.2645
angles: 89.49 90.00 90.00
Closest atoms and distances in Å follow each position.
Fractional coordinates of all 38 atoms:
Li (0.7398, 0.7596, 0.2616)  1 F 1.86, 3 O 1.87-1.91
Li (0.7398, 0.2404, 0.7384)  1 F 1.86, 3 O 1.87-1.91
V (0.9698, 0.0000, 0.0000)  3 O 1.93-2.03, 3 F 2.08-2.11
V (0.5068, 0.0000, 0.5000)  4 O 2.01-2.02, 2 F 2.12
V (0.4977, 0.9544, 0.8286)  4 O 1.90-2.08
V (0.0134, 0.0045, 0.3279)  3 O 1.95-2.02, 3 F 2.08-2.10
V (0.4941, 0.5200, 0.6702)  3 O 1.92-2.05, 2 F 2.06-2.14
V (0.4941, 0.4800, 0.3298)  3 O 1.92-2.05, 2 F 2.06-2.14
V (0.4797, 0.5000, 0.0000)  3 O 1.92-1.98, 3 F 2.10-2.12
V (0.0153, 0.5253, 0.1726)  4 O 1.98-2.04, 1 F 2.16
V (0.0010, 0.5000, 0.5000)  4 O 1.99-2.03, 2 F 2.14
V (0.4977, 0.0456, 0.1714)  4 O 1.90-2.08
V (0.0153, 0.4747, 0.8274)  4 O 1.98-2.04, 1 F 2.16
V (0.0134, 0.9955, 0.6721)  3 O 1.95-2.02, 3 F 2.08-2.10
O (0.7084, 0.9948, 0.6646)  1 Li 1.87, 3 V 2.01-2.08
O (0.6769, 0.0000, 0.0000)  3 V 1.93-2.01
O (0.3088, 0.9882, 0.6648)  3 V 1.95-2.01
O (0.8026, 0.5126, 0.3326)  1 Li 1.89, 3 V 2.03-2.05
O (0.8026, 0.4874, 0.6674)  1 Li 1.89, 3 V 2.03-2.05
O (0.4990, 0.6834, 0.8374)  3 V 1.90-1.98
O (0.9922, 0.8123, 0.1679)  1 Li 1.91, 3 V 2.02-2.03
O (0.4990, 0.3166, 0.1626)  3 V 1.90-1.98
O (0.2044, 0.5010, 0.3407)  3 V 1.92-2.00
O (0.2044, 0.4990, 0.6593)  3 V 1.92-2.00
O (0.1890, 0.5000, 0.0000)  3 V 1.92-1.98
O (0.7084, 0.0052, 0.3354)  1 Li 1.87, 3 V 2.01-2.08
O (0.3088, 0.0118, 0.3352)  3 V 1.95-2.01
O (0.9922, 0.1877, 0.8321)  1 Li 1.91, 3 V 2.02-2.03
F (0.9983, 0.7933, 0.8370)  3 V 2.08-2.24
F (0.2848, 0.0000, 0.0000)  3 V 2.08-2.15
F (0.7975, 0.5000, 0.0000)  3 V 2.10-2.16
F (0.4976, 0.7009, 0.1686)  1 Li 1.86
F (0.5084, 0.6975, 0.4922)  3 V 2.06-2.15
F (0.9983, 0.2067, 0.1630)  3 V 2.08-2.24
F (0.0047, 0.8053, 0.4991)  3 V 2.09-2.14
F (0.5084, 0.3025, 0.5078)  3 V 2.06-2.15
F (0.4976, 0.2991, 0.8314)  1 Li 1.86
F (0.0047, 0.1947, 0.5009)  3 V 2.09-2.14

=====

4.
The following is a GGA+U calculation of an optimized crystal structure of Na3MnSiCO7, from Materials Project.

abc: 6.5043 10.6148 9.1341
angles: 88.93 90.00 90.00
Closest atoms and distances in Å follow each position.
Fractional coordinates of all 52 atoms:
Na (0.2500, 0.3920, 0.0921)  5 O 2.39-2.63
Na (0.2500, 0.8920, 0.0921)  5 O 2.39-2.63
Na (0.7500, 0.1080, 0.9079)  5 O 2.39-2.63
Na (0.7500, 0.6080, 0.9079)  5 O 2.39-2.63
Na (0.0066, 0.1307, 0.2663)  4 O 2.24-2.49
Na (0.0066, 0.6307, 0.2663)  4 O 2.24-2.49
Na (0.4934, 0.1307, 0.2663)  4 O 2.24-2.49
Na (0.4934, 0.6307, 0.2663)  4 O 2.24-2.49
Na (0.5066, 0.3693, 0.7337)  4 O 2.24-2.49
Na (0.5066, 0.8693, 0.7337)  4 O 2.24-2.49
Na (0.9934, 0.3693, 0.7337)  4 O 2.24-2.49
Na (0.9934, 0.8693, 0.7337)  4 O 2.24-2.49
Mn (0.7500, 0.8910, 0.3527)  5 O 1.92-2.10
Mn (0.2500, 0.6090, 0.6474)  5 O 1.92-2.10
Mn (0.7500, 0.3908, 0.3525)  5 O 1.92-2.10
Mn (0.2500, 0.1092, 0.6475)  5 O 1.92-2.10
Si (0.2500, 0.3465, 0.4273)  4 O 1.62-1.67
Si (0.2500, 0.8465, 0.4273)  4 O 1.62-1.67
Si (0.7500, 0.1535, 0.5727)  4 O 1.62-1.67
Si (0.7500, 0.6535, 0.5727)  4 O 1.62-1.67
C (0.7500, 0.3575, 0.0540)  3 O 1.29-1.32
C (0.7500, 0.8575, 0.0540)  3 O 1.29-1.32
C (0.2500, 0.1425, 0.9460)  3 O 1.29-1.32
C (0.2500, 0.6425, 0.9460)  3 O 1.29-1.32
O (0.2500, 0.1220, 0.0858)  1 C 1.29
O (0.2500, 0.6220, 0.0858)  1 C 1.29
O (0.7500, 0.3780, 0.9142)  1 C 1.29
O (0.7500, 0.8780, 0.9142)  1 C 1.29
O (0.7500, 0.4565, 0.1396)  1 C 1.32
O (0.7500, 0.9565, 0.1396)  1 C 1.32
O (0.2500, 0.0435, 0.8604)  1 C 1.32
O (0.2500, 0.5435, 0.8604)  1 C 1.32
O (0.7500, 0.2458, 0.1113)  1 C 1.29
O (0.7500, 0.7458, 0.1113)  1 C 1.29
O (0.2500, 0.2542, 0.8887)  1 C 1.29
O (0.2500, 0.7542, 0.8887)  1 C 1.29
O (0.2500, 0.1910, 0.4587)  1 Si 1.67
O (0.2500, 0.6910, 0.4587)  1 Si 1.67
O (0.7500, 0.3090, 0.5413)  1 Si 1.67
O (0.7500, 0.8090, 0.5413)  1 Si 1.67
O (0.7500, 0.0786, 0.4202)  1 Si 1.62
O (0.7500, 0.5786, 0.4202)  1 Si 1.62
O (0.2500, 0.4214, 0.5798)  1 Si 1.62
O (0.2500, 0.9214, 0.5798)  1 Si 1.62
O (0.0497, 0.3775, 0.3198)  1 Si 1.66
O (0.0496, 0.8775, 0.3198)  1 Si 1.66
O (0.4503, 0.3775, 0.3198)  1 Si 1.66
O (0.4504, 0.8775, 0.3198)  1 Si 1.66
O (0.5497, 0.1225, 0.6802)  1 Si 1.66
O (0.5496, 0.6225, 0.6802)  1 Si 1.66
O (0.9503, 0.1225, 0.6802)  1 Si 1.66
O (0.9504, 0.6225, 0.6802)  1 Si 1.66

=====

Number 1: energy relative to the elements -1.49 eV per atom. Number 2: energy relative to the elements -2.10 eV per atom. Number 3: energy relative to the elements -2.72 eV per atom. Number 4: energy relative to the elements -2.35 eV per atom.